# Ba4Sm4Zn3PtO15 (PBE-GGA, relaxed)
data_Ba4Sm4Zn3PtO15
_chemical_formula_sum 'Ba8 Sm8 Zn6 Pt2 O30'
_symmetry_space_group_name_H-M 'P 1'
_symmetry_Int_Tables_number 1
_cell_length_a 11.821
_cell_length_b 11.821
_cell_length_c 6.800
_cell_angle_alpha 90.00
_cell_angle_beta 90.00
_cell_angle_gamma 120.00
loop_
_symmetry_equiv_pos_as_xyz
'x,y,z'
loop_
_atom_site_label
_atom_site_type_symbol
_atom_site_fract_x
_atom_site_fract_y
_atom_site_fract_z
Ba1 Ba 0.173 0.345 0.000
Ba2 Ba 0.173 0.827 0.000
Ba3 Ba 0.333 0.667 0.679
Ba4 Ba 0.345 0.173 0.500
Ba5 Ba 0.655 0.827 0.000
Ba6 Ba 0.667 0.333 0.179
Ba7 Ba 0.827 0.173 0.500
Ba8 Ba 0.827 0.655 0.500
Sm1 Sm 0.000 0.000 0.184
Sm2 Sm 0.000 0.000 0.684
Sm3 Sm 0.045 0.523 0.341
Sm4 Sm 0.477 0.523 0.341
Sm5 Sm 0.477 0.955 0.341
Sm6 Sm 0.523 0.045 0.841
Sm7 Sm 0.523 0.477 0.841
Sm8 Sm 0.955 0.477 0.841
Zn1 Zn 0.171 0.343 0.517
Zn2 Zn 0.171 0.829 0.517
Zn3 Zn 0.343 0.171 0.017
Zn4 Zn 0.657 0.829 0.517
Zn5 Zn 0.829 0.171 0.017
Zn6 Zn 0.829 0.657 0.017
Pt1 Pt 0.333 0.667 0.157
Pt2 Pt 0.667 0.333 0.657
O1 O 0.056 0.396 0.642
O2 O 0.056 0.661 0.642
O3 O 0.083 0.165 0.413
O4 O 0.083 0.917 0.413
O5 O 0.165 0.083 0.913
O6 O 0.165 0.582 0.998
O7 O 0.251 0.502 0.331
O8 O 0.251 0.749 0.331
O9 O 0.339 0.396 0.642
O10 O 0.339 0.944 0.642
O11 O 0.396 0.056 0.142
O12 O 0.396 0.339 0.142
O13 O 0.418 0.582 0.998
O14 O 0.418 0.835 0.998
O15 O 0.498 0.749 0.331
O16 O 0.502 0.251 0.831
O17 O 0.582 0.165 0.498
O18 O 0.582 0.418 0.498
O19 O 0.604 0.661 0.642
O20 O 0.604 0.944 0.642
O21 O 0.661 0.056 0.142
O22 O 0.661 0.604 0.142
O23 O 0.749 0.251 0.831
O24 O 0.749 0.498 0.831
O25 O 0.835 0.418 0.498
O26 O 0.835 0.917 0.413
O27 O 0.917 0.083 0.913
O28 O 0.917 0.835 0.913
O29 O 0.944 0.339 0.142
O30 O 0.944 0.604 0.142
# Uncorrected energy ... -6.55 eV/atom
# Crystal system ... hexagonal
# Space-group type ... P6_3mc, No. 186